[1]
This record from the Materials Project describes an optimized crystal structure of YBr2. The functional is PBE.

Cell and atoms, written as POSCAR:
```
YBr2
1.0
7.295 0.000 0.000
0.000 7.295 0.000
0.000 0.000 3.688
Y Br
2 4
Cartesian
0.000 0.000 0.000
3.648 3.648 1.844
1.585 1.585 1.844
2.063 5.232 0.000
5.232 2.063 0.000
5.711 5.711 1.844
```

Computed properties:
Formation enthalpy at 0 K ... -1905 meV per atom
Spin magnetization ... 0.08 μB per atom

=====

[2]
This record from the Materials Project describes an optimized crystal structure of EuLuO3. The functional is PBE.

Cell and atoms, written as POSCAR:
```
EuLuO3
1.0
4.258 0.000 0.000
0.000 4.258 0.000
0.000 0.000 4.258
Eu Lu O
1 1 3
Cartesian
0.000 0.000 0.000
2.129 2.129 2.129
0.000 2.129 2.129
2.129 0.000 2.129
2.129 2.129 0.000
```

Computed properties:
Formation enthalpy at 0 K ... -3241 meV per atom
Spin magnetization ... 1.20 μB per atom

=====

[3]
This record from the Materials Project describes an optimized crystal structure of Sr3PN. The functional is PBE.

Cell and atoms, written as POSCAR:
```
Sr3PN
1.0
5.081 0.000 0.000
0.000 5.081 0.000
0.000 0.000 5.081
Sr P N
3 1 1
Cartesian
0.000 0.000 2.540
0.000 2.540 0.000
2.540 0.000 0.000
2.540 2.540 2.540
0.000 0.000 0.000
```

Computed properties:
Formation enthalpy at 0 K ... -848 meV per atom
Energy relative to the lowest polymorph listed for this composition ... 0 meV/atom

=====

[4]
This record from the Materials Project describes an optimized crystal structure of YPdPb. The functional is PBE.

Cell and atoms, written as POSCAR:
```
YPdPb
1.0
8.013 0.000 0.000
-4.006 6.939 0.000
0.000 0.000 3.912
Y Pd Pb
3 3 3
Cartesian
-2.898 5.020 0.000
1.108 1.919 0.000
5.796 0.000 0.000
0.000 0.000 1.956
0.000 4.626 0.000
4.006 2.313 0.000
-1.595 2.763 1.956
3.191 0.000 1.956
2.411 4.176 1.956
```

Computed properties:
Formation enthalpy at 0 K ... -577 meV per atom
Spin magnetization ... 0.00 μB per atom

=====

[5]
This record from the Materials Project describes an optimized crystal structure of Ba2LaI7. The functional is PBE.

Cell and atoms, written as POSCAR:
```
Ba2LaI7
1.0
7.949 0.000 0.000
0.000 18.107 0.000
-0.194 0.000 12.180
Ba La I
8 4 28
Cartesian
1.780 1.094 3.946
1.683 7.959 10.035
1.769 13.048 5.495
1.672 14.113 11.585
6.084 3.994 0.595
5.987 5.059 6.684
6.073 10.148 2.144
5.976 17.013 8.234
2.084 2.300 9.513
2.180 6.754 3.423
5.575 11.353 8.756
5.672 15.807 2.667
-0.040 4.330 3.703
-0.137 4.723 9.792
-0.077 1.885 7.041
0.020 7.169 0.951
1.540 9.877 3.493
1.443 17.284 9.583
1.626 2.558 0.461
1.529 6.495 6.551
2.714 10.312 7.554
2.810 16.849 1.464
3.739 10.914 11.398
3.836 16.247 5.309
3.904 13.093 2.499
3.807 14.067 8.589
3.949 4.040 3.591
3.852 5.014 9.680
3.920 1.860 6.871
4.017 7.193 0.781
4.945 1.258 10.715
5.042 7.796 4.626
6.227 11.612 5.629
6.130 15.549 11.718
6.313 0.823 2.597
6.216 8.230 8.687
7.736 10.939 11.228
7.833 16.222 5.138
7.893 13.384 2.387
7.796 13.777 8.477
```

Computed properties:
Formation enthalpy at 0 K ... -1937 meV per atom
Energy relative to the lowest polymorph listed for this composition ... 0 meV/atom
Spin magnetization ... 0.00 μB per atom

=====

[6]
This record from the Materials Project describes an optimized crystal structure of LiCuS. The functional is PBE.

Cell and atoms, written as POSCAR:
```
LiCuS
1.0
12.250 0.000 0.000
0.000 3.711 0.000
0.000 0.000 3.722
Li Cu S
4 4 4
Cartesian
0.961 0.928 0.878
5.164 2.784 2.739
7.086 0.928 0.983
11.289 2.784 2.844
3.064 0.928 2.681
3.061 2.784 0.820
9.189 0.928 2.902
9.186 2.784 1.041
1.508 2.784 2.738
4.617 0.928 0.877
7.633 2.784 2.845
10.742 0.928 0.984
```

Computed properties:
Formation enthalpy at 0 K ... -883 meV per atom
Spin magnetization ... 0.00 μB per atom

=====

[7]
This record from the Materials Project describes an optimized crystal structure of Rb3NdF6. The functional is PBE.

Cell and atoms, written as POSCAR:
```
Rb3NdF6
1.0
0.000 4.957 4.957
4.957 0.000 4.957
4.957 4.957 0.000
Rb Nd F
3 1 6
Cartesian
0.000 0.000 0.000
2.479 2.479 2.479
7.436 7.436 7.436
4.957 4.957 4.957
4.957 4.957 2.674
4.957 2.674 4.957
7.241 4.957 4.957
2.674 4.957 4.957
4.957 7.241 4.957
4.957 4.957 7.241
```

Computed properties:
Formation enthalpy at 0 K ... -3461 meV per atom
Spin magnetization ... 0.00 μB per atom

=====

[8]
This record from the Materials Project describes an optimized crystal structure of Rb3Bi2I9. The functional is PBE.

Cell and atoms, written as POSCAR:
```
Rb3Bi2I9
1.0
15.131 0.000 0.000
0.000 8.448 0.000
-14.904 0.000 21.399
Rb Bi I
12 8 36
Cartesian
-5.235 0.230 8.421
-12.687 3.994 19.121
-6.910 4.420 16.616
0.542 8.252 5.916
4.751 0.168 1.313
-2.701 4.056 12.012
2.928 4.392 9.386
-4.523 8.281 20.085
-0.315 0.196 15.482
7.137 4.028 4.783
12.914 4.454 2.278
5.462 8.218 12.977
-2.446 4.281 7.306
-9.898 8.392 18.005
2.506 4.309 3.369
-4.946 8.363 14.069
5.173 0.085 7.330
-2.278 4.139 18.029
10.125 0.057 3.393
2.673 4.168 14.093
-10.435 5.738 16.159
-2.983 6.934 5.460
-4.845 4.855 9.002
-12.296 7.817 19.702
-6.128 1.629 11.925
1.323 2.596 1.226
-6.321 5.893 13.122
1.131 6.780 2.423
-7.476 0.713 15.959
-0.025 3.512 5.260
-1.789 1.790 8.835
-9.241 2.434 19.534
-0.621 5.941 9.005
-8.073 6.732 19.704
4.987 4.811 1.760
-2.465 7.862 12.460
3.955 1.637 4.681
-3.497 2.587 15.380
3.724 5.861 6.018
-3.727 6.811 16.717
2.692 0.586 8.939
-4.760 3.638 19.638
8.300 1.717 1.694
0.848 2.507 12.393
9.468 6.014 1.864
2.017 6.659 12.563
0.252 4.937 16.139
7.704 7.736 5.440
-0.904 1.669 18.975
6.548 2.555 8.276
-1.096 5.853 20.172
6.356 6.820 9.473
12.524 0.631 1.697
5.072 3.593 12.396
3.210 1.514 15.938
10.662 2.710 5.239
```

Computed properties:
Formation enthalpy at 0 K ... -1177 meV per atom
Energy relative to the lowest polymorph listed for this composition ... 1 meV/atom
Spin magnetization ... 0.00 μB per atom